(1)
VASP calculation (GGA-PBE) on crystalline TcCl6O6 at its relaxed geometry.

Results
Total DFT energy (no corrections) = -4.160 eV/atom

a = 7.3032 Å, b = 7.3101 Å, c = 8.3862 Å
α = 81.36°, β = 65.61°, γ = 81.91°
With the nearest neighbours (Å) after each atom.
Sites, in units of the cell vectors:
Cl  0.7988  0.9322  0.8750  1 Tc 2.30
Cl  0.0857  0.6822  0.0581  1 Tc 2.30
Cl  0.2080  0.0643  0.1302  1 Tc 2.30
Cl  0.9316  0.3083  0.9490  1 Tc 2.30
Cl  0.2747  0.9941  0.7315  1 Tc 2.31
Cl  0.7310  0.9883  0.2687  1 Tc 2.31
Tc  0.0055  0.9946  0.0019  6 Cl 2.30-2.31
O  0.4126  0.4530  0.3577  1 O 1.23
O  0.9501  0.5796  0.6174  1 O 1.23
O  0.5650  0.4395  0.6600  1 O 1.23
O  0.6296  0.2762  0.6402  1 O 1.23
O  0.9651  0.7099  0.5027  1 O 1.23
O  0.5064  0.5558  0.2267  1 O 1.23

(2)
VASP calculation (GGA-PBE) on crystalline LiNb2Te4Cl10O at its relaxed geometry.

Results
Total DFT energy (no corrections) = -4.282 eV/atom
E above lowest polymorph = 0.46 eV/f.u.

a = 7.2198 Å, b = 8.8371 Å, c = 9.5492 Å
α = 82.94°, β = 88.96°, γ = 77.18°
With the nearest neighbours (Å) after each atom.
Sites, in units of the cell vectors:
Nb  0.5309  0.6238  0.6446  1 O 1.91
Nb  0.4859  0.3430  0.3701  1 O 1.98
Cl  0.8432  0.4788  0.7159  1 Nb 2.40
Cl  0.3862  0.4835  0.8208  1 Nb 2.34
Cl  0.6336  0.5112  0.1976  1 Li 2.40, 1 Nb 2.47
Cl  0.3221  0.2077  0.5346  1 Nb 2.32
Cl  0.1897  0.5357  0.2953  1 Nb 2.47, 1 Li 2.57
Cl  0.2327  0.7874  0.5592  1 Nb 2.40
Cl  0.4418  0.1906  0.1863  1 Nb 2.41
Cl  0.5508  0.8199  0.8039  1 Nb 2.47
Cl  0.6765  0.7787  0.4613  1 Li 2.42, 1 Nb 2.45
Cl  0.7855  0.1880  0.4290  1 Nb 2.33
Te  0.0715  0.2037  0.9718  2 Te 2.74-2.76
Te  0.1129  0.9453  0.1696  2 Te 2.74-2.77
Te  0.8813  0.8189  0.0106  2 Te 2.74-2.77
Te  0.8143  0.0902  0.8275  2 Te 2.74-2.76
Li  0.4370  0.6967  0.3325  1 O 2.28, 2 Cl 2.40-2.42
O  0.5116  0.4899  0.5050  2 Nb 1.91-1.98

(3)
VASP calculation (GGA-PBE) on crystalline ReTe2Cl12 at its relaxed geometry.

Results
Total DFT energy (no corrections) = -2.516 eV/atom
E above lowest polymorph = 12.26 eV/f.u.

a = 6.7679 Å, b = 7.2324 Å, c = 11.3061 Å
α = 108.08°, β = 88.42°, γ = 116.87°
With the nearest neighbours (Å) after each atom.
Sites, in units of the cell vectors:
Cl  0.9454  0.3199  0.8983  2 Cl 2.69-2.70
Cl  0.5705  0.4311  0.2972  1 Te 2.03
Cl  0.9723  0.6892  0.5867  1 Cl 2.55, 1 Te 2.59
Cl  0.0111  0.9630  0.8025  1 Re 2.17
Cl  0.3940  0.1965  0.0196  1 Re 2.36
Cl  0.9889  0.0370  0.1975  1 Re 2.17
Cl  0.0277  0.3108  0.4133  1 Cl 2.55, 1 Te 2.59
Cl  0.5184  0.9132  0.3512  1 Te 2.89
Cl  0.4295  0.5689  0.7028  1 Te 2.03
Cl  0.6060  0.8035  0.9804  1 Re 2.36
Cl  0.4816  0.0868  0.6488  1 Te 2.89
Cl  0.0546  0.6801  0.1017  2 Cl 2.69-2.70
Re  0.0000  0.0000  0.0000  4 Cl 2.17-2.36
Te  0.7402  0.2557  0.2424  1 Cl 2.03
Te  0.2598  0.7443  0.7576  1 Cl 2.03

(4)
VASP calculation (GGA-PBE) on crystalline K3Co at its relaxed geometry.

Results
Total DFT energy (no corrections) = -1.741 eV/atom
E above lowest polymorph = 0.51 eV/f.u.

a = 9.8091 Å, b = 6.9398 Å, c = 8.2079 Å
α = 73.72°, β = 90.00°, γ = 90.00°
With the nearest neighbours (Å) after each atom.
Sites, in units of the cell vectors:
Co  0.0000  0.0000  0.0000  6 K 4.10-4.57
Co  0.5000  0.0000  0.5000  6 K 4.10-4.57
K  0.0000  0.0000  0.5000  2 Co 4.10, 2 K 4.16
K  0.7525  0.5015  0.8745  3 K 4.10-4.16, 2 Co 4.13-4.57
K  0.7475  0.5015  0.3745  3 K 4.10-4.16, 2 Co 4.13-4.57
K  0.5000  0.0000  0.0000  2 Co 4.10, 2 K 4.16
K  0.2525  0.4985  0.6255  3 K 4.10-4.16, 2 Co 4.13-4.57
K  0.2475  0.4985  0.1255  3 K 4.10-4.16, 2 Co 4.13-4.57

(5)
VASP calculation (GGA-PBE) on crystalline Fe3Mo5N8 at its relaxed geometry.

Results
Total DFT energy (no corrections) = -9.385 eV/atom

a = 11.2823 Å, b = 11.2823 Å, c = 4.9689 Å
α = 77.85°, β = 77.85°, γ = 14.58°
With the nearest neighbours (Å) after each atom.
Sites, in units of the cell vectors:
Fe  0.7508  0.7508  0.2505  6 N 2.09-2.14
Fe  0.0000  0.0000  0.0000  6 N 2.20-2.22
Fe  0.2492  0.2492  0.7495  6 N 2.09-2.14
Mo  0.6295  0.6295  0.3729  6 N 2.11-2.14
Mo  0.3705  0.3705  0.6271  6 N 2.11-2.14
Mo  0.5000  0.5000  0.5000  6 N 2.18-2.21
Mo  0.8723  0.8723  0.1287  6 N 2.12-2.15
Mo  0.1277  0.1277  0.8713  6 N 2.12-2.15
N  0.9331  0.9331  0.7320  5 Mo 2.14-2.21, 1 Fe 2.20
N  0.6899  0.6899  0.6467  3 Fe 2.09-2.14, 3 Mo 2.11-2.14
N  0.3101  0.3101  0.3533  3 Fe 2.09-2.14, 3 Mo 2.11-2.14
N  0.0669  0.0669  0.2680  5 Mo 2.14-2.21, 1 Fe 2.20
N  0.5668  0.5668  0.7628  4 Mo 2.12-2.18, 2 Fe 2.22
N  0.4332  0.4332  0.2372  4 Mo 2.12-2.18, 2 Fe 2.22
N  0.8097  0.8097  0.8544  3 Fe 2.11-2.12, 3 Mo 2.13-2.15
N  0.1903  0.1903  0.1456  3 Fe 2.11-2.12, 3 Mo 2.13-2.15

(6)
VASP calculation (GGA-PBE) on crystalline TeRuSe at its relaxed geometry.

Results
Total DFT energy (no corrections) = -5.673 eV/atom
E above lowest polymorph = 0.00 eV/f.u.

a = 6.2461 Å, b = 6.2461 Å, c = 6.2461 Å
α = 90.00°, β = 90.00°, γ = 90.00°
With the nearest neighbours (Å) after each atom.
Sites, in units of the cell vectors:
Ru  0.9931  0.5069  0.4931  3 Se 2.56, 3 Te 2.63
Ru  0.5069  0.4931  0.9931  3 Se 2.56, 3 Te 2.63
Ru  0.4931  0.9931  0.5069  3 Se 2.56, 3 Te 2.63
Ru  0.0069  0.0069  0.0069  3 Se 2.56, 3 Te 2.63
Se  0.1229  0.8771  0.3771  3 Ru 2.56, 1 Te 2.68
Se  0.6229  0.6229  0.6229  3 Ru 2.56, 1 Te 2.68
Se  0.3771  0.1229  0.8771  3 Ru 2.56, 1 Te 2.68
Se  0.8771  0.3771  0.1229  3 Ru 2.56, 1 Te 2.68
Te  0.1248  0.6248  0.8752  3 Ru 2.63, 1 Se 2.68
Te  0.3752  0.3752  0.3752  3 Ru 2.63, 1 Se 2.68
Te  0.6248  0.8752  0.1248  3 Ru 2.63, 1 Se 2.68
Te  0.8752  0.1248  0.6248  3 Ru 2.63, 1 Se 2.68

Q: Which formation enthalpy at 0 K values were calculated for the entries above? A: -301, -1091, -280, 868, -420, -526, in meV per atom.